Record 1
Ca22H51Rh11, relaxed, DFT PBE; calculated formation energy = -0.526 eV per atom; space-group type = P1
1.0
5.0775 0.0000 0.0000
2.4891 4.4422 0.0000
1.7934 1.8998 46.2604
Ca H Rh
22 51 11
direct
0.0000 0.0000 0.0000
0.0402 0.0482 0.8645
0.0896 0.0910 0.7279
0.1398 0.1346 0.5925
0.1766 0.1848 0.4530
0.2290 0.2275 0.3177
0.2735 0.2718 0.1819
0.3178 0.3188 0.0454
0.3626 0.3646 0.9093
0.4067 0.4109 0.7734
0.4547 0.4538 0.6373
0.4952 0.5041 0.4985
0.5448 0.5457 0.3631
0.5935 0.5893 0.2272
0.6363 0.6364 0.0910
0.6807 0.6830 0.9545
0.7222 0.7304 0.8188
0.7712 0.7739 0.6825
0.8221 0.8147 0.5469
0.8611 0.8658 0.4084
0.9127 0.9049 0.2726
0.9543 0.9550 0.1364
0.0049 0.0078 0.5015
0.0071 0.4830 0.5017
0.0263 0.0410 0.3633
0.0258 0.5709 0.3632
0.0319 0.5452 0.8634
0.0923 0.5682 0.2290
0.1147 0.6598 0.0896
0.1213 0.1373 0.0911
0.1395 0.6357 0.5903
0.1810 0.6601 0.9563
0.2055 0.7574 0.8173
0.2068 0.2232 0.8171
0.2284 0.7271 0.3186
0.2709 0.2869 0.6839
0.2728 0.7555 0.6841
0.3033 0.8194 0.0457
0.3102 0.8360 0.5440
0.3124 0.3109 0.5441
0.3621 0.3793 0.4114
0.3641 0.8442 0.4116
0.3874 0.9322 0.2716
0.3915 0.4100 0.2734
0.4131 0.9075 0.7724
0.4535 0.9338 0.1380
0.4791 0.0102 0.5021
0.4788 0.0227 0.9987
0.4848 0.5011 0.0002
0.5423 0.0250 0.8650
0.5689 0.1206 0.7264
0.5705 0.5851 0.7265
0.5765 0.0900 0.2271
0.6354 0.6502 0.5928
0.6375 0.1187 0.5930
0.6604 0.2078 0.4542
0.6620 0.6786 0.4543
0.6671 0.1826 0.9548
0.7274 0.7424 0.3206
0.7298 0.2061 0.3208
0.7514 0.2965 0.1805
0.7577 0.7737 0.1820
0.7776 0.2709 0.6815
0.8172 0.2971 0.0471
0.8371 0.3090 0.5439
0.8410 0.3891 0.9078
0.8463 0.8659 0.9094
0.8649 0.3633 0.4095
0.9071 0.9235 0.7747
0.9087 0.3921 0.7748
0.9331 0.4838 0.6355
0.9347 0.9485 0.6356
0.9400 0.4555 0.1366
0.0778 0.0637 0.7943
0.1582 0.1597 0.5228
0.2653 0.2484 0.2501
0.3536 0.3416 0.9773
0.4432 0.4265 0.7037
0.5333 0.5177 0.4319
0.6274 0.6126 0.1591
0.7172 0.7049 0.8862
0.8075 0.7901 0.6127
0.8981 0.8811 0.3409
0.9904 0.9773 0.0682

---

Record 2
Ca2H6Ru, relaxed, DFT PBE; calculated formation energy = -0.602 eV per atom; space-group type = Fm-3m
1.0
0.0000 3.6092 3.6092
3.6092 0.0000 3.6092
3.6092 3.6092 0.0000
Ca H Ru
2 6 1
direct
0.2500 0.2500 0.2500
0.7500 0.7500 0.7500
0.2376 0.2376 0.7624
0.2376 0.7624 0.2376
0.2376 0.7624 0.7624
0.7624 0.2376 0.2376
0.7624 0.2376 0.7624
0.7624 0.7624 0.2376
0.0000 0.0000 0.0000

---

Record 3
Ca5Sn3H, relaxed, DFT PBE; calculated formation energy = -0.678 eV per atom; space-group type = I4/mcm
1.0
-4.0952 4.0952 7.4740
4.0952 -4.0952 7.4740
4.0952 4.0952 -7.4740
Ca Sn H
10 6 2
direct
0.0000 0.0000 0.0000
0.0101 0.5101 0.8245
0.1857 0.0101 0.5000
0.3143 0.8143 0.8245
0.4899 0.3143 0.5000
0.5000 0.5000 0.0000
0.5101 0.6857 0.5000
0.6857 0.1857 0.1755
0.8143 0.9899 0.5000
0.9899 0.4899 0.1755
0.1273 0.3727 0.5000
0.2500 0.2500 0.0000
0.3727 0.8727 0.2455
0.6273 0.1273 0.7545
0.7500 0.7500 0.0000
0.8727 0.6273 0.5000
0.2500 0.7500 0.5000
0.7500 0.2500 0.5000

---

Record 4
Ca3SnH2, relaxed, DFT PBE; calculated formation energy = -0.689 eV per atom; space-group type = Cmcm
1.0
4.4361 -5.6935 0.0000
4.4361 5.6935 0.0000
0.0000 0.0000 5.2681
Ca Sn H
6 2 4
direct
0.1099 0.8901 0.7500
0.1859 0.4075 0.7500
0.4075 0.1859 0.2500
0.5925 0.8141 0.7500
0.8141 0.5925 0.2500
0.8901 0.1099 0.2500
0.3076 0.6924 0.2500
0.6924 0.3076 0.7500
0.1510 0.1510 0.0000
0.1510 0.1510 0.5000
0.8490 0.8490 0.0000
0.8490 0.8490 0.5000

---

Record 5
KCaHfSbO6, relaxed, DFT PBE; calculated formation energy = -2.874 eV per atom; space-group type = F-43m
1.0
0.0000 4.0555 4.0555
4.0555 0.0000 4.0555
4.0555 4.0555 0.0000
K Ca Hf Sb O
1 1 1 1 6
direct
0.0000 0.0000 0.0000
0.5000 0.5000 0.5000
0.7500 0.7500 0.7500
0.2500 0.2500 0.2500
0.0044 0.0044 0.4956
0.0044 0.4956 0.0044
0.0044 0.4956 0.4956
0.4956 0.0044 0.0044
0.4956 0.0044 0.4956
0.4956 0.4956 0.0044

---

Record 6
CaHfMg6, relaxed, DFT PBE; ΔE to the lowest computed polymorph = 10 meV/atom; calculated formation energy = 0.075 eV per atom
1.0
5.1320 0.0000 0.0000
0.0000 6.7594 0.0000
0.0000 0.0000 10.9445
Mg Ca Hf
12 2 2
direct
0.5000 0.7700 0.3429
0.5000 0.5000 0.5911
0.0000 0.5000 0.9202
0.5000 0.0000 0.0911
0.5000 0.2300 0.3429
0.5000 0.2700 0.8429
0.0000 0.0000 0.4202
0.0000 0.7445 0.6535
0.0000 0.7555 0.1535
0.5000 0.7300 0.8429
0.0000 0.2445 0.1535
0.0000 0.2555 0.6535
0.0000 0.0000 0.8962
0.0000 0.5000 0.3962
0.5000 0.0000 0.5999
0.5000 0.5000 0.0999

---

Record 7
CaHfMg6, relaxed, DFT PBE; ΔE to the lowest computed polymorph = 0 meV/atom; calculated formation energy = 0.066 eV per atom; space-group type = P4/mmm
1.0
6.4296 0.0000 0.0000
0.0000 6.4296 0.0000
0.0000 0.0000 4.6675
Ca Hf Mg
1 1 6
direct
0.0000 0.0000 0.0000
0.5000 0.5000 0.0000
0.0000 0.5000 0.0000
0.2641 0.2641 0.5000
0.2641 0.7359 0.5000
0.5000 0.0000 0.0000
0.7359 0.2641 0.5000
0.7359 0.7359 0.5000

---

Record 8
CaHfMg6O8, relaxed, DFT PBE; ΔE to the lowest computed polymorph = 44 meV/atom; calculated formation energy = -2.812 eV per atom; space-group type = P4/mmm
1.0
4.4520 0.0000 0.0000
0.0000 4.4520 0.0000
0.0000 0.0000 8.9484
Ca Hf Mg O
1 1 6 8
direct
0.0000 0.0000 0.0000
0.0000 0.0000 0.5000
0.0000 0.5000 0.2457
0.0000 0.5000 0.7543
0.5000 0.0000 0.2457
0.5000 0.0000 0.7543
0.5000 0.5000 0.0000
0.5000 0.5000 0.5000
0.0000 0.0000 0.2579
0.0000 0.0000 0.7421
0.0000 0.5000 0.0000
0.0000 0.5000 0.5000
0.5000 0.0000 0.0000
0.5000 0.0000 0.5000
0.5000 0.5000 0.2470
0.5000 0.5000 0.7530